VASP calculation (PBE) on a relaxed LiCa3 crystal.

a b c (Å): 6.6653 6.6653 6.6653
angles (deg): 134.09 134.09 66.94
Sites, in units of the cell vectors:
Ca: 0.5000 0.5000 0.0000
Ca: 0.7500 0.2500 0.5000
Ca: 0.2500 0.7500 0.5000
Li: 0.0000 0.0000 0.0000

Output
Total magnetization in μB per formula unit: 0.02
ΔH_f (0 K) in eV/f.u.: 0.29
Energy relative to the lowest polymorph listed for this composition in eV per formula unit: 0.04
Space group: I4/mmm
Volume in Å³ per cell: 150
Final energy in eV/atom: -1.908



VASP calculation (PBE) on a relaxed CeU2O6 crystal.

a b c (Å): 8.6198 8.6198 8.6198
angles (deg): 154.31 154.31 36.64
Sites, in units of the cell vectors:
O: 0.2500 0.7500 0.5000
O: 0.5882 0.0882 0.5000
O: 0.0882 0.5882 0.5000
O: 0.4118 0.9118 0.5000
O: 0.9118 0.4118 0.5000
O: 0.7500 0.2500 0.5000
U: 0.3338 0.3338 0.0000
U: 0.6662 0.6662 0.0000
Ce: 0.0000 0.0000 0.0000

Output
ΔH_f (0 K) in eV/f.u.: -34.67
Energy relative to the lowest polymorph listed for this composition in eV per formula unit: 0.05
Space group: I4/mmm
Volume in Å³ per cell: 120
Final energy in eV/atom: -9.861